[1]
Below is crystalline Er3RuI3 at its relaxed geometry, with properties calculated at the r²SCAN level.

Results
V ... 31.7 A^3/atom

```
data_Er3RuI3
_space_group_name_H-M_alt 'P 1 21/m 1'
_space_group_IT_number 11
_cell_length_a 8.7196
_cell_length_b 4.1963
_cell_length_c 12.1480
_cell_angle_alpha 90.00
_cell_angle_beta 94.30
_cell_angle_gamma 90.00
loop_
_space_group_symop_operation_xyz
'x,y,z'
'-x,-y,-z'
'-x,y+1/2,-z'
'x,-y+1/2,z'
loop_
_atom_site_label
_atom_site_fract_x
_atom_site_fract_y
_atom_site_fract_z
Er1 0.1007 0.2500 0.3140
Er2 0.1320 0.2500 0.8740
Er3 0.2560 0.7500 0.1041
Ru1 0.0525 0.2500 0.0918
I1 0.1413 0.2500 0.6086
I2 0.3555 0.7500 0.3672
I3 0.4250 0.7500 0.8660
```



[2]
Below is crystalline SiC at its relaxed geometry, with properties calculated at the r²SCAN level.

Results
Polymorph energy (0 for the lowest one) ... 0 meV/atom
V ... 10.3 A^3/atom

```
data_SiC
_space_group_name_H-M_alt 'P 3 m 1'
_space_group_IT_number 156
_cell_length_a 3.0770
_cell_length_b 3.0770
_cell_length_c 35.2225
_cell_angle_alpha 90.00
_cell_angle_beta 90.00
_cell_angle_gamma 120.00
loop_
_space_group_symop_operation_xyz
'x,y,z'
'-y,x-y,z'
'-x+y,-x,z'
'-y,-x,z'
'-x+y,y,z'
'x,x-y,z'
loop_
_atom_site_label
_atom_site_fract_x
_atom_site_fract_y
_atom_site_fract_z
Si1 0.0000 0.0000 0.0000
Si2 0.0000 0.0000 0.1430
Si3 0.0000 0.0000 0.3572
Si4 0.0000 0.0000 0.5714
Si5 0.0000 0.0000 0.7144
Si6 0.3333 0.6667 0.0715
Si7 0.3333 0.6667 0.2857
Si8 0.3333 0.6667 0.4287
Si9 0.3333 0.6667 0.6429
Si10 0.3333 0.6667 0.8572
Si11 0.6667 0.3333 0.2143
Si12 0.6667 0.3333 0.5001
Si13 0.6667 0.3333 0.7857
Si14 0.6667 0.3333 0.9287
C1 0.0000 0.0000 0.0536
C2 0.0000 0.0000 0.1965
C3 0.0000 0.0000 0.4109
C4 0.0000 0.0000 0.6250
C5 0.0000 0.0000 0.7679
C6 0.3333 0.6667 0.1252
C7 0.3333 0.6667 0.3393
C8 0.3333 0.6667 0.4822
C9 0.3333 0.6667 0.6966
C10 0.3333 0.6667 0.9109
C11 0.6667 0.3333 0.2679
C12 0.6667 0.3333 0.5536
C13 0.6667 0.3333 0.8393
C14 0.6667 0.3333 0.9822
```



[3]
Below is crystalline Li5AuO4 at its relaxed geometry, with properties calculated at the r²SCAN level.

Results
V ... 10.1 A^3/atom

```
data_Li5AuO4
_space_group_name_H-M_alt 'C 1 2/m 1'
_space_group_IT_number 12
_cell_length_a 4.6878
_cell_length_b 9.4115
_cell_length_c 4.6823
_cell_angle_alpha 90.00
_cell_angle_beta 102.61
_cell_angle_gamma 90.00
loop_
_space_group_symop_operation_xyz
'x,y,z'
'-x,-y,-z'
'-x,y,-z'
'x,-y,z'
'x+1/2,y+1/2,z'
'-x+1/2,-y+1/2,-z'
'-x+1/2,y+1/2,-z'
'x+1/2,-y+1/2,z'
loop_
_atom_site_label
_atom_site_fract_x
_atom_site_fract_y
_atom_site_fract_z
Li1 0.0000 0.0000 0.0000
Li2 0.0000 0.2080 0.5000
Li3 0.0000 0.2827 0.0000
Au1 0.0000 0.5000 0.5000
O1 0.2456 0.3520 0.7507
```



[4]
Below is crystalline LiFeBr4 at its relaxed geometry, with properties calculated at the r²SCAN level.

Results
V ... 29.2 A^3/atom

```
data_LiFeBr4
_space_group_name_H-M_alt 'P 1 21/c 1'
_space_group_IT_number 14
_cell_length_a 7.4711
_cell_length_b 6.9056
_cell_length_c 13.5840
_cell_angle_alpha 90.00
_cell_angle_beta 92.83
_cell_angle_gamma 90.00
loop_
_space_group_symop_operation_xyz
'x,y,z'
'-x,-y,-z'
'-x,y+1/2,-z+1/2'
'x,-y+1/2,z+1/2'
loop_
_atom_site_label
_atom_site_fract_x
_atom_site_fract_y
_atom_site_fract_z
Li1 0.1425 0.0129 0.3747
Fe1 0.2934 0.1757 0.6004
Br1 0.0629 0.1812 0.1896
Br2 0.1891 0.6420 0.0650
Br3 0.3098 0.1753 0.9470
Br4 0.4340 0.6742 0.8094
```



[5]
Below is crystalline YbGeAu at its relaxed geometry, with properties calculated at the r²SCAN level.

Results
V ... 19.8 A^3/atom

```
data_YbGeAu
_space_group_name_H-M_alt 'P -6 m 2'
_space_group_IT_number 187
_space_group_name_Hall 'P -6 2'
_cell_length_a 4.3947
_cell_length_b 4.3947
_cell_length_c 3.5529
_cell_angle_alpha 90.00
_cell_angle_beta 90.00
_cell_angle_gamma 120.00
loop_
_atom_site_label
_atom_site_fract_x
_atom_site_fract_y
_atom_site_fract_z
Yb1 0.0000 0.0000 0.0000
Ge1 0.6667 0.3333 0.5000
Au1 0.3333 0.6667 0.5000
```



[6]
Below is crystalline CaEr2S4 at its relaxed geometry, with properties calculated at the r²SCAN level.

Results
Polymorph energy (0 for the lowest one) ... 13 meV/atom
V ... 23.2 A^3/atom

```
data_CaEr2S4
_space_group_name_H-M_alt 'C m c 21'
_space_group_IT_number 36
_cell_length_a 3.8636
_cell_length_b 12.7661
_cell_length_c 13.1568
_cell_angle_alpha 90.00
_cell_angle_beta 90.00
_cell_angle_gamma 90.00
loop_
_space_group_symop_operation_xyz
'x,y,z'
'-x,-y,z+1/2'
'-x,y,z'
'x,-y,z+1/2'
'x+1/2,y+1/2,z'
'-x+1/2,-y+1/2,z+1/2'
'-x+1/2,y+1/2,z'
'x+1/2,-y+1/2,z+1/2'
loop_
_atom_site_label
_atom_site_fract_x
_atom_site_fract_y
_atom_site_fract_z
Ca1 0.0000 0.1127 0.0000
Er1 0.0000 0.3599 0.1883
Er2 0.0000 0.3718 0.8303
S1 0.0000 0.0093 0.7671
S2 0.0000 0.2662 0.3755
S3 0.0000 0.2778 0.6419
S4 0.0000 0.4575 0.0121
```



[7]
Below is crystalline CdAu2F12 at its relaxed geometry, with properties calculated at the r²SCAN level.

Results
V ... 14.4 A^3/atom

```
data_CdAu2F12
_space_group_name_H-M_alt 'C 1 2/c 1'
_space_group_IT_number 15
_cell_length_a 11.3155
_cell_length_b 8.6986
_cell_length_c 10.0006
_cell_angle_alpha 90.00
_cell_angle_beta 118.79
_cell_angle_gamma 90.00
loop_
_space_group_symop_operation_xyz
'x,y,z'
'-x,-y,-z'
'-x,y,-z+1/2'
'x,-y,z+1/2'
'x+1/2,y+1/2,z'
'-x+1/2,-y+1/2,-z'
'-x+1/2,y+1/2,-z+1/2'
'x+1/2,-y+1/2,z+1/2'
loop_
_atom_site_label
_atom_site_fract_x
_atom_site_fract_y
_atom_site_fract_z
Cd1 0.0000 0.1819 0.2500
Au1 0.2494 0.4958 0.8669
F1 0.1307 0.3538 0.2184
F2 0.1318 0.1477 0.9877
F3 0.1357 0.0077 0.2287
F4 0.1361 0.4926 0.4575
F5 0.1404 0.1625 0.5004
F6 0.1418 0.3363 0.7363
```



[8]
Below is crystalline V2FeO6 at its relaxed geometry, with properties calculated at the r²SCAN level.

Results
V ... 13.3 A^3/atom

```
data_V2FeO6
_space_group_name_H-M_alt 'P -1'
_space_group_IT_number 2
_cell_length_a 5.7588
_cell_length_b 6.6698
_cell_length_c 6.6907
_cell_angle_alpha 83.92
_cell_angle_beta 74.86
_cell_angle_gamma 75.18
loop_
_space_group_symop_operation_xyz
'x,y,z'
'-x,-y,-z'
loop_
_atom_site_label
_atom_site_fract_x
_atom_site_fract_y
_atom_site_fract_z
V1 0.2444 0.2055 0.3876
V2 0.2548 0.6095 0.7954
Fe1 0.2542 0.0833 0.9106
O1 0.0568 0.6506 0.6262
O2 0.1398 0.8090 0.9623
O3 0.2290 0.0882 0.6231
O4 0.2667 0.3745 0.9173
O5 0.3600 0.0336 0.1924
O6 0.4463 0.3756 0.3480
```



[9]
Below is crystalline Pr3SnC at its relaxed geometry, with properties calculated at the r²SCAN level.

Results
V ... 40.7 A^3/atom

```
data_Pr3SnC
_space_group_name_H-M_alt 'P m -3 m'
_space_group_IT_number 221
_space_group_name_Hall '-P 4 2 3'
_cell_length_a 5.8810
_cell_length_b 5.8810
_cell_length_c 5.8810
_cell_angle_alpha 90.00
_cell_angle_beta 90.00
_cell_angle_gamma 90.00
loop_
_atom_site_label
_atom_site_fract_x
_atom_site_fract_y
_atom_site_fract_z
Pr1 0.0000 0.0000 0.5000
Sn1 0.0000 0.0000 0.0000
C1 0.5000 0.5000 0.5000
```



[10]
Below is crystalline Ba2B4Se13 at its relaxed geometry, with properties calculated at the r²SCAN level.

Results
V ... 25.5 A^3/atom

```
data_Ba2B4Se13
_space_group_name_H-M_alt 'P 1 21/c 1'
_space_group_IT_number 14
_cell_length_a 12.9002
_cell_length_b 11.8184
_cell_length_c 13.0833
_cell_angle_alpha 90.00
_cell_angle_beta 103.58
_cell_angle_gamma 90.00
loop_
_space_group_symop_operation_xyz
'x,y,z'
'-x,-y,-z'
'-x,y+1/2,-z+1/2'
'x,-y+1/2,z+1/2'
loop_
_atom_site_label
_atom_site_fract_x
_atom_site_fract_y
_atom_site_fract_z
Ba1 0.1039 0.0974 0.2162
Ba2 0.3626 0.5875 0.1101
B1 0.0294 0.7240 0.0909
B2 0.2173 0.2201 0.5166
B3 0.2365 0.7292 0.2978
B4 0.4839 0.7255 0.4023
Se1 0.0393 0.1529 0.8334
Se2 0.0875 0.1142 0.4851
Se3 0.1015 0.6831 0.4941
Se4 0.1320 0.6232 0.1980
Se5 0.1656 0.6747 0.8941
Se6 0.1847 0.1142 0.9796
Se7 0.2824 0.2071 0.6748
Se8 0.2968 0.6451 0.7162
Se9 0.3118 0.1433 0.4302
Se10 0.3544 0.6195 0.3740
Se11 0.4186 0.1531 0.1821
Se12 0.4410 0.6108 0.8654
Se13 0.4557 0.2252 0.9391
```



[11]
Below is crystalline KTeP2 at its relaxed geometry, with properties calculated at the r²SCAN level.

Results
V ... 29.3 A^3/atom

```
data_KTeP2
_space_group_name_H-M_alt 'P 1 21/m 1'
_space_group_IT_number 11
_cell_length_a 7.0382
_cell_length_b 6.5932
_cell_length_c 10.1036
_cell_angle_alpha 90.00
_cell_angle_beta 90.02
_cell_angle_gamma 90.00
loop_
_space_group_symop_operation_xyz
'x,y,z'
'-x,-y,-z'
'-x,y+1/2,-z'
'x,-y+1/2,z'
loop_
_atom_site_label
_atom_site_fract_x
_atom_site_fract_y
_atom_site_fract_z
K1 0.0257 0.2500 0.3885
K2 0.2247 0.2500 0.0085
Te1 0.1568 0.7500 0.2648
Te2 0.2936 0.7500 0.8969
P1 0.3925 0.0056 0.5802
P2 0.4915 0.2500 0.7136
P3 0.4945 0.2500 0.2991
```



[12]
Below is crystalline Ta5N6 at its relaxed geometry, with properties calculated at the r²SCAN level.

Results
V ... 11.1 A^3/atom

```
data_Ta5N6
_space_group_name_H-M_alt 'P 63/m c m'
_space_group_IT_number 193
_space_group_name_Hall '-P 6c 2'
_cell_length_a 5.1913
_cell_length_b 5.1913
_cell_length_c 10.4379
_cell_angle_alpha 90.00
_cell_angle_beta 90.00
_cell_angle_gamma 120.00
loop_
_atom_site_label
_atom_site_fract_x
_atom_site_fract_y
_atom_site_fract_z
Ta1 0.0000 0.3238 0.2500
Ta2 0.3333 0.6667 0.0000
N1 0.0000 0.3413 0.6214
```



The calculation returns the following calculated formation energy values, one per record and in order: -778; -59; -1645; -616; -238; -1615; -1835; -1970; 664; -1201; -206; -1391 kJ/mol of formula units.
The calculation returns the following electronic total energy values, one per record and in order: -1.0969; -0.3552; -0.3802; -0.4668; -1.2673; -0.6498; -0.4356; -0.4036; -0.8528; -0.5433; -0.4739; -1.0429 hartree per atom.